# 1
Na4Zr3ZnSi3S3O24 | PBE | optimized geometry

Cell: 9.079 9.095 23.220 Å, 90.06 90.01 119.93°
Space group P1 (No. 1)
Inequivalent atoms, fractional coordinates:
Na: 0.000 0.000 0.000 x1
Na: 0.002 0.287 0.492 x1
Na: 0.012 0.641 0.246 x1
Na: 0.016 0.638 0.759 x1
Na: 0.358 0.314 0.084 x1
Na: 0.361 0.337 0.575 x1
Na: 0.386 0.671 0.996 x1
Na: 0.389 0.016 0.492 x1
Na: 0.642 0.273 0.005 x1
Na: 0.658 0.979 0.922 x1
Na: 0.669 0.982 0.412 x1
Na: 0.713 0.675 0.841 x1
Zr: 0.003 0.637 0.597 x1
Zr: 0.021 0.638 0.391 x1
Zr: 0.340 0.304 0.227 x1
Zr: 0.350 0.323 0.429 x1
Zr: 0.351 0.330 0.731 x1
Zr: 0.361 0.323 0.932 x1
Zr: 0.665 0.984 0.770 x1
Zr: 0.677 0.005 0.267 x1
Zr: 0.999 0.651 0.098 x1
Zn: 0.018 0.653 0.896 x1
Zn: 0.652 0.979 0.064 x1
Zn: 0.664 0.979 0.557 x1
Si: 0.052 0.311 0.329 x1
Si: 0.298 0.938 0.995 x1
Si: 0.309 0.651 0.498 x1
Si: 0.331 0.609 0.832 x1
Si: 0.338 0.020 0.332 x1
Si: 0.647 0.326 0.830 x1
Si: 0.678 0.280 0.159 x1
Si: 0.713 0.353 0.496 x1
Si: 0.721 0.660 0.993 x1
S: 0.007 0.938 0.497 x1
S: 0.009 0.358 0.995 x1
S: 0.052 0.027 0.828 x1
S: 0.381 0.984 0.662 x1
S: 0.384 0.690 0.163 x1
S: 0.636 0.611 0.328 x1
S: 0.678 0.696 0.662 x1
S: 0.965 0.984 0.162 x1
S: 0.967 0.271 0.661 x1
O: 0.026 0.477 0.334 x1
O: 0.030 0.858 0.830 x1
O: 0.035 0.857 0.549 x1
O: 0.042 0.467 0.048 x1
O: 0.123 0.129 0.881 x1
O: 0.139 0.137 0.169 x1
O: 0.139 0.293 0.390 x1
O: 0.141 0.293 0.668 x1
O: 0.158 0.117 0.777 x1
O: 0.164 0.837 0.337 x1
O: 0.167 0.110 0.493 x1
O: 0.167 0.344 0.990 x1
O: 0.171 0.634 0.833 x1
O: 0.175 0.342 0.275 x1
O: 0.179 0.621 0.553 x1
O: 0.179 0.850 0.052 x1
O: 0.209 0.830 0.658 x1
O: 0.213 0.674 0.159 x1
O: 0.215 0.683 0.443 x1
O: 0.216 0.816 0.940 x1
O: 0.305 0.126 0.990 x1
O: 0.308 0.471 0.493 x1
O: 0.319 0.492 0.774 x1
O: 0.322 0.121 0.276 x1
O: 0.360 0.136 0.670 x1
O: 0.363 0.517 0.170 x1
O: 0.370 0.136 0.390 x1
O: 0.374 0.524 0.886 x1
O: 0.468 0.962 0.713 x1
O: 0.472 0.797 0.213 x1
O: 0.481 0.759 0.109 x1
O: 0.482 0.009 0.610 x1
O: 0.490 0.821 0.504 x1
O: 0.493 0.973 0.000 x1
O: 0.504 0.995 0.324 x1
O: 0.511 0.304 0.169 x1
O: 0.519 0.789 0.820 x1
O: 0.520 0.324 0.493 x1
O: 0.524 0.520 0.668 x1
O: 0.525 0.285 0.887 x1
O: 0.527 0.484 0.991 x1
O: 0.530 0.531 0.381 x1
O: 0.536 0.338 0.775 x1
O: 0.555 0.503 0.278 x1
O: 0.651 0.778 0.322 x1
O: 0.652 0.173 0.101 x1
O: 0.655 0.776 0.611 x1
O: 0.660 0.153 0.820 x1
O: 0.697 0.793 0.716 x1
O: 0.698 0.825 0.005 x1
O: 0.699 0.184 0.216 x1
O: 0.706 0.172 0.503 x1
O: 0.804 0.476 0.554 x1
O: 0.805 0.627 0.336 x1
O: 0.806 0.614 0.049 x1
O: 0.822 0.499 0.833 x1
O: 0.828 0.688 0.935 x1
O: 0.832 0.676 0.658 x1
O: 0.837 0.453 0.443 x1
O: 0.851 0.469 0.158 x1
O: 0.860 0.961 0.214 x1
O: 0.861 0.186 0.713 x1
O: 0.862 0.967 0.505 x1
O: 0.864 0.185 0.003 x1
O: 0.865 0.139 0.324 x1
O: 0.877 0.009 0.820 x1
O: 0.891 0.175 0.608 x1
O: 0.892 0.005 0.109 x1
O: 0.977 0.431 0.944 x1
O: 0.984 0.837 0.446 x1
O: 0.985 0.446 0.659 x1
O: 0.988 0.831 0.159 x1

crystal system = triclinic
E_form = -2.699 eV/atom

# 2
Na6Zr4Zn4Si3S9O48 | PBE | optimized geometry

Cell: 8.938 15.607 23.044 Å, 90.41 90.33 90.16°
Space group P1 (No. 1)
Inequivalent atoms, fractional coordinates:
Na: 0.000 0.000 0.000 x1
Na: 0.003 0.316 0.826 x1
Na: 0.110 0.490 0.250 x1
Na: 0.356 0.995 0.750 x1
Na: 0.456 0.814 0.324 x1
Na: 0.460 0.501 0.493 x1
Na: 0.484 0.182 0.164 x1
Na: 0.484 0.826 0.827 x1
Na: 0.489 0.489 0.001 x1
Na: 0.498 0.161 0.657 x1
Na: 0.609 0.992 0.241 x1
Na: 0.618 0.322 0.580 x1
Na: 0.837 0.821 0.084 x1
Na: 0.847 0.492 0.740 x1
Na: 0.961 0.657 0.159 x1
Na: 0.971 0.672 0.657 x1
Na: 0.973 0.987 0.493 x1
Na: 0.988 0.327 0.319 x1
Zr: 0.463 0.488 0.345 x1
Zr: 0.472 0.488 0.847 x1
Zr: 0.473 0.166 0.011 x1
Zr: 0.475 0.824 0.977 x1
Zr: 0.483 0.827 0.474 x1
Zr: 0.492 0.485 0.137 x1
Zr: 0.966 0.992 0.634 x1
Zr: 0.982 0.327 0.977 x1
Zr: 0.985 0.324 0.475 x1
Zr: 0.987 0.666 0.509 x1
Zr: 0.987 0.993 0.849 x1
Zr: 0.989 0.988 0.346 x1
Zn: 0.000 0.655 0.322 x1
Zn: 0.460 0.157 0.825 x1
Zn: 0.470 0.176 0.306 x1
Zn: 0.474 0.497 0.645 x1
Zn: 0.479 0.809 0.173 x1
Zn: 0.491 0.154 0.510 x1
Zn: 0.493 0.819 0.671 x1
Zn: 0.969 0.652 0.013 x1
Zn: 0.978 0.321 0.179 x1
Zn: 0.979 0.662 0.812 x1
Zn: 0.980 0.315 0.671 x1
Zn: 0.986 0.997 0.146 x1
Si: 0.124 0.510 0.407 x1
Si: 0.130 0.806 0.406 x1
Si: 0.322 0.340 0.239 x1
Si: 0.327 0.306 0.906 x1
Si: 0.344 0.009 0.906 x1
Si: 0.634 0.679 0.078 x1
Si: 0.696 0.319 0.081 x1
Si: 0.773 0.818 0.580 x1
Si: 0.823 0.182 0.577 x1
S: 0.123 0.175 0.079 x1
S: 0.126 0.477 0.079 x1
S: 0.127 0.139 0.742 x1
S: 0.128 0.844 0.743 x1
S: 0.181 0.493 0.741 x1
S: 0.182 0.828 0.079 x1
S: 0.196 0.158 0.411 x1
S: 0.264 0.659 0.909 x1
S: 0.277 0.328 0.580 x1
S: 0.278 0.990 0.241 x1
S: 0.333 0.640 0.242 x1
S: 0.337 0.677 0.580 x1
S: 0.337 0.973 0.581 x1
S: 0.624 0.015 0.406 x1
S: 0.626 0.305 0.411 x1
S: 0.628 0.345 0.741 x1
S: 0.628 0.639 0.744 x1
S: 0.630 0.973 0.080 x1
S: 0.683 0.993 0.743 x1
S: 0.687 0.659 0.408 x1
S: 0.772 0.159 0.908 x1
S: 0.775 0.497 0.246 x1
S: 0.831 0.473 0.581 x1
S: 0.832 0.136 0.244 x1
S: 0.832 0.844 0.240 x1
S: 0.834 0.804 0.910 x1
S: 0.836 0.513 0.906 x1
O: 0.050 0.089 0.080 x1
O: 0.055 0.904 0.404 x1
O: 0.056 0.764 0.465 x1
O: 0.057 0.224 0.740 x1
O: 0.057 0.414 0.419 x1
O: 0.060 0.542 0.346 x1
O: 0.060 0.758 0.749 x1
O: 0.062 0.562 0.069 x1
O: 0.065 0.219 0.026 x1
O: 0.065 0.887 0.691 x1
O: 0.067 0.094 0.796 x1
O: 0.067 0.439 0.132 x1
O: 0.081 0.905 0.081 x1
O: 0.082 0.570 0.748 x1
O: 0.084 0.084 0.691 x1
O: 0.084 0.572 0.463 x1
O: 0.086 0.415 0.739 x1
O: 0.090 0.750 0.071 x1
O: 0.092 0.082 0.405 x1
O: 0.093 0.420 0.026 x1
O: 0.093 0.899 0.795 x1
O: 0.098 0.236 0.417 x1
O: 0.100 0.224 0.132 x1
O: 0.103 0.754 0.348 x1
O: 0.140 0.340 0.236 x1
O: 0.147 0.319 0.916 x1
O: 0.155 0.001 0.903 x1
O: 0.167 0.643 0.244 x1
O: 0.169 0.980 0.583 x1
O: 0.171 0.665 0.573 x1
O: 0.174 0.646 0.961 x1
O: 0.176 0.670 0.856 x1
O: 0.179 0.982 0.294 x1
O: 0.180 0.340 0.527 x1
O: 0.185 0.001 0.189 x1
O: 0.186 0.321 0.633 x1
O: 0.274 0.504 0.690 x1
O: 0.275 0.822 0.132 x1
O: 0.279 0.485 0.794 x1
O: 0.279 0.841 0.026 x1
O: 0.285 0.146 0.464 x1
O: 0.285 0.167 0.358 x1
O: 0.289 0.163 0.072 x1
O: 0.291 0.142 0.744 x1
O: 0.293 0.483 0.080 x1
O: 0.294 0.841 0.740 x1
O: 0.310 0.504 0.407 x1
O: 0.310 0.820 0.418 x1
O: 0.353 0.255 0.847 x1
O: 0.358 0.728 0.633 x1
O: 0.359 0.403 0.298 x1
O: 0.364 0.736 0.915 x1
O: 0.367 0.583 0.902 x1
O: 0.367 0.917 0.529 x1
O: 0.370 0.251 0.573 x1
O: 0.371 0.910 0.239 x1
O: 0.376 0.588 0.191 x1
O: 0.378 0.065 0.249 x1
O: 0.379 0.072 0.961 x1
O: 0.379 0.405 0.582 x1
O: 0.393 0.598 0.296 x1
O: 0.394 0.935 0.635 x1
O: 0.395 0.395 0.186 x1
O: 0.396 0.722 0.528 x1
O: 0.400 0.059 0.573 x1
O: 0.400 0.728 0.240 x1
O: 0.402 0.248 0.245 x1
O: 0.402 0.263 0.964 x1
O: 0.403 0.404 0.903 x1
O: 0.404 0.042 0.844 x1
O: 0.408 0.912 0.916 x1
O: 0.411 0.591 0.582 x1
O: 0.550 0.586 0.084 x1
O: 0.556 0.724 0.742 x1
O: 0.558 0.726 0.020 x1
O: 0.559 0.926 0.414 x1
O: 0.560 0.271 0.465 x1
O: 0.562 0.052 0.353 x1
O: 0.563 0.394 0.403 x1
O: 0.565 0.259 0.747 x1
O: 0.567 0.593 0.796 x1
O: 0.567 0.939 0.134 x1
O: 0.568 0.059 0.069 x1
O: 0.569 0.386 0.687 x1
O: 0.583 0.403 0.792 x1
O: 0.584 0.734 0.416 x1
O: 0.585 0.916 0.742 x1
O: 0.586 0.235 0.073 x1
O: 0.587 0.405 0.081 x1
O: 0.592 0.580 0.405 x1
O: 0.593 0.915 0.029 x1
O: 0.594 0.072 0.744 x1
O: 0.598 0.065 0.459 x1
O: 0.599 0.250 0.360 x1
O: 0.603 0.585 0.692 x1
O: 0.621 0.745 0.132 x1
O: 0.642 0.171 0.569 x1
O: 0.663 0.476 0.582 x1
O: 0.664 0.847 0.242 x1
O: 0.666 0.139 0.251 x1
O: 0.668 0.504 0.901 x1
O: 0.668 0.815 0.915 x1
O: 0.668 0.832 0.522 x1
O: 0.674 0.492 0.297 x1
O: 0.680 0.147 0.961 x1
O: 0.680 0.503 0.192 x1
O: 0.682 0.809 0.639 x1
O: 0.685 0.172 0.855 x1
O: 0.775 0.673 0.356 x1
O: 0.780 0.649 0.462 x1
O: 0.782 0.996 0.691 x1
O: 0.783 0.986 0.796 x1
O: 0.792 0.004 0.402 x1
O: 0.792 0.316 0.417 x1
O: 0.794 0.330 0.020 x1
O: 0.795 0.347 0.742 x1
O: 0.795 0.645 0.750 x1
O: 0.797 0.976 0.082 x1
O: 0.799 0.311 0.137 x1
O: 0.815 0.671 0.070 x1
O: 0.839 0.243 0.634 x1
O: 0.859 0.083 0.191 x1
O: 0.861 0.752 0.857 x1
O: 0.866 0.567 0.957 x1
O: 0.867 0.414 0.531 x1
O: 0.867 0.419 0.244 x1
O: 0.869 0.080 0.904 x1
O: 0.870 0.575 0.247 x1
O: 0.876 0.234 0.915 x1
O: 0.876 0.903 0.291 x1
O: 0.881 0.735 0.573 x1
O: 0.883 0.905 0.582 x1
O: 0.890 0.886 0.187 x1
O: 0.893 0.438 0.636 x1
O: 0.893 0.559 0.571 x1
O: 0.893 0.759 0.247 x1
O: 0.897 0.089 0.296 x1
O: 0.897 0.549 0.852 x1
O: 0.898 0.893 0.901 x1
O: 0.900 0.425 0.913 x1
O: 0.901 0.221 0.243 x1
O: 0.901 0.227 0.521 x1
O: 0.902 0.770 0.963 x1
O: 0.905 0.087 0.583 x1

crystal system = triclinic
E_form = -2.403 eV/atom

Number 1: VASP energy -0.5139 Ry per atom. Number 2: VASP energy -0.4797 Ry per atom.